DFT (PBE) results for a relaxed structure of CuBr4N2O2.

Cell and atoms, written as POSCAR:
```
CuBr4N2O2
1.0
-5.470 -0.772 7.347
-6.947 -2.570 -5.442
1.683 -5.892 0.634
Cu N Br O
2 4 8 4
Direct
0.500 0.500 0.500 Cu
0.000 0.000 0.000 Cu
0.000 0.500 0.250 N
0.000 0.500 0.750 N
0.500 0.000 0.250 N
0.500 0.000 0.750 N
0.870 0.870 0.500 Br
0.681 0.319 0.500 Br
0.130 0.130 0.500 Br
0.319 0.681 0.500 Br
0.630 0.370 0.000 Br
0.370 0.630 0.000 Br
0.181 0.181 0.000 Br
0.819 0.819 0.000 Br
0.000 0.000 0.699 O
0.000 0.000 0.301 O
0.500 0.500 0.801 O
0.500 0.500 0.199 O
```

Total magnetization   5.91 μB per formula unit
Energy above the most stable polymorph in this dataset   0.021 eV/atom
Calculated formation energy   1.14 eV/atom